No. 1
VASP calculation (GGA-PBE) on crystalline Ce9DyO20 at its relaxed geometry.

Unit cell a=6.671 b=7.707 c=8.628 alpha=102.85 beta=97.55 gamma=106.61
Sites, in units of the cell vectors:
Ce: 0.000 0.000 0.000
Ce: 0.199 0.400 0.398
Ce: 0.199 0.898 0.398
Ce: 0.398 0.799 0.801
Ce: 0.401 0.301 0.802
Ce: 0.599 0.699 0.198
Ce: 0.602 0.201 0.199
Ce: 0.801 0.102 0.602
Ce: 0.801 0.600 0.602
Dy: 0.000 0.500 0.000
O: 0.050 0.223 0.849
O: 0.050 0.726 0.849
O: 0.150 0.175 0.550
O: 0.150 0.675 0.550
O: 0.251 0.125 0.250
O: 0.251 0.626 0.252
O: 0.351 0.075 0.950
O: 0.352 0.576 0.949
O: 0.450 0.025 0.650
O: 0.450 0.525 0.650
O: 0.550 0.475 0.350
O: 0.550 0.975 0.350
O: 0.648 0.424 0.051
O: 0.649 0.925 0.050
O: 0.749 0.374 0.748
O: 0.749 0.875 0.750
O: 0.850 0.325 0.450
O: 0.850 0.825 0.450
O: 0.950 0.274 0.151
O: 0.950 0.777 0.151

Energy = -8.6261 eV/atom
Symmetry = P-1 (2)
Theoretical density = 7.14 Mg/m³
Energy of formation from the pure elements = -3.85 eV/atom
Calculated volume = 13.51 Å³ per atom

---

No. 2
VASP calculation (GGA-PBE) on crystalline Ce4DyO9 at its relaxed geometry.

Unit cell a=10.311 b=10.311 c=10.311 alpha=158.61 beta=38.06 gamma=148.89
Sites, in units of the cell vectors:
Ce: 0.106 0.000 0.106
Ce: 0.294 0.993 0.301
Ce: 0.691 0.993 0.699
Ce: 0.894 0.000 0.894
Dy: 0.440 0.940 0.500
O: 0.046 0.247 0.799
O: 0.129 0.732 0.396
O: 0.237 0.237 0.000
O: 0.336 0.732 0.604
O: 0.449 0.247 0.201
O: 0.553 0.750 0.803
O: 0.651 0.236 0.415
O: 0.820 0.236 0.585
O: 0.946 0.750 0.197

Energy = -8.6825 eV/atom
Symmetry = Imm2 (44)
Theoretical density = 6.98 Mg/m³
Energy of formation from the pure elements = -3.92 eV/atom
Calculated volume = 14.74 Å³ per atom